# 1
Tb2Se3 | PBE-GGA | optimized geometry

```
Tb2Se3
1.0
-10.167 -10.121 1.843
-14.193 1.538 2.321
11.174 4.194 -8.170
Se Tb
24 16
Direct
0.175 0.922 0.889
0.692 0.938 0.596
0.408 0.312 0.254
0.342 0.097 0.404
0.575 0.964 0.247
0.033 0.286 0.111
0.058 0.153 0.746
0.903 0.308 0.246
0.384 0.994 0.746
0.688 0.942 0.096
0.248 0.638 0.254
0.036 0.283 0.611
0.006 0.752 0.391
0.714 0.825 0.747
0.502 0.256 0.891
0.744 0.634 0.246
0.366 0.612 0.109
0.717 0.328 0.753
0.388 0.498 0.754
0.847 0.592 0.904
0.062 0.658 0.754
0.362 0.616 0.609
0.078 0.967 0.253
0.672 0.425 0.389
0.756 0.125 0.131
0.548 0.656 0.625
0.333 0.333 0.000
0.032 0.923 0.375
0.417 0.917 0.500
0.718 0.594 0.392
0.375 0.244 0.369
0.875 0.006 0.631
0.344 0.968 0.892
0.202 0.327 0.608
0.673 0.282 0.875
0.406 0.798 0.125
0.083 0.583 0.500
0.077 0.452 0.108
0.667 0.667 0.000
0.994 0.625 0.869
```

Values from the calculation:
Volume in Å³ per atom: 24.91
Uncorrected energy in eV per atom: -5.7961
Formation enthalpy at 0 K in meV/atom: -2128

# 2
LuAgSn | PBE-GGA | optimized geometry

```
LuAgSn
1.0
3.662 -6.343 0.000
3.662 6.343 0.000
0.000 0.000 4.462
Lu Sn Ag
3 3 3
Direct
0.568 0.568 0.000
0.432 0.000 0.000
0.000 0.432 0.000
0.000 0.000 0.000
0.667 0.333 0.500
0.333 0.667 0.500
0.000 0.753 0.500
0.753 0.000 0.500
0.247 0.247 0.500
```

Values from the calculation:
Volume in Å³ per atom: 23.03
Uncorrected energy in eV per atom: -4.2986
Formation enthalpy at 0 K in meV/atom: -511

# 3
Bi34Ir3Br37 | PBE-GGA | optimized geometry

```
Bi34Ir3Br37
1.0
3.959 -7.454 -10.018
6.539 -0.684 11.446
-10.772 -12.658 5.114
Br Bi Ir
37 34 3
Direct
0.608 0.012 0.347
0.455 0.182 0.466
0.088 0.735 0.009
0.015 0.409 0.664
0.196 0.146 0.205
0.228 0.923 0.340
0.055 0.476 0.167
0.582 0.601 0.663
0.156 0.938 0.806
0.313 0.247 0.668
0.352 0.663 0.109
0.926 0.683 0.665
0.058 0.208 0.803
0.919 0.268 0.991
0.184 0.729 0.535
0.412 0.946 0.174
0.520 0.398 0.865
0.947 0.802 0.202
0.606 0.123 0.862
0.847 0.063 0.198
0.818 0.264 0.470
0.078 0.312 0.336
0.986 0.604 0.339
0.874 0.482 0.866
0.399 0.386 0.343
0.537 0.810 0.536
0.395 0.986 0.661
0.737 0.654 0.994
0.356 0.089 0.999
0.555 0.572 0.173
0.788 0.842 0.803
0.652 0.920 0.003
0.722 0.538 0.469
0.694 0.774 0.342
0.273 0.464 0.534
0.759 0.068 0.668
0.271 0.344 0.012
0.364 0.801 0.895
0.006 0.150 0.575
0.503 0.212 0.236
0.134 0.950 0.095
0.462 0.637 0.907
0.860 0.022 0.419
0.815 0.867 0.091
0.695 0.471 0.229
0.533 0.330 0.082
0.531 0.386 0.575
0.145 0.540 0.426
0.511 0.806 0.243
0.186 0.133 0.909
0.180 0.670 0.773
0.609 0.143 0.575
0.282 0.485 0.240
0.386 0.852 0.429
0.849 0.463 0.576
0.191 0.532 0.913
0.996 0.869 0.414
0.798 0.279 0.761
0.478 0.196 0.757
0.051 0.188 0.092
0.717 0.519 0.758
0.841 0.877 0.562
0.143 0.146 0.426
0.948 0.812 0.909
0.195 0.709 0.237
0.117 0.981 0.572
0.328 0.552 0.757
0.865 0.048 0.905
0.694 0.211 0.137
0.463 0.611 0.426
0.808 0.455 0.080
0.664 0.331 0.667
0.331 0.667 0.335
0.001 0.000 0.000
```

Values from the calculation:
Volume in Å³ per atom: 35.55
Uncorrected energy in eV per atom: -3.4208
Formation enthalpy at 0 K in meV/atom: -724

# 4
CrSi | PBE-GGA | optimized geometry

```
CrSi
1.0
4.600 0.000 0.000
0.000 4.600 0.000
0.000 0.000 4.600
Cr Si
4 4
Direct
0.138 0.138 0.138
0.638 0.362 0.862
0.362 0.862 0.638
0.862 0.638 0.362
0.847 0.847 0.847
0.347 0.653 0.153
0.653 0.153 0.347
0.153 0.347 0.653
```

Values from the calculation:
Volume in Å³ per atom: 12.16
Uncorrected energy in eV per atom: -7.8300
Formation enthalpy at 0 K in meV/atom: -255

# 5
Sr2Nb2Bi3BrO11 | PBE-GGA | optimized geometry

```
Sr2Nb2Bi3BrO11
1.0
-3.659 1.553 -0.153
-1.036 -2.708 -2.722
-5.963 -12.596 14.800
Bi O Br Sr Nb
3 11 1 2 2
Direct
0.000 0.000 0.000
0.500 0.500 0.608
0.500 0.500 0.392
0.000 0.500 0.339
0.500 0.500 0.000
0.000 0.500 0.661
0.500 0.000 0.091
0.500 0.500 0.199
0.000 0.500 0.909
0.500 0.500 0.801
0.500 0.000 0.339
0.500 0.000 0.909
0.000 0.500 0.091
0.500 0.000 0.661
0.000 0.000 0.500
0.000 0.000 0.727
0.000 0.000 0.273
0.500 0.500 0.110
0.500 0.500 0.890
```

Values from the calculation:
Volume in Å³ per atom: 16.93
Uncorrected energy in eV per atom: -6.8432
Formation enthalpy at 0 K in meV/atom: -2435

# 6
DyMnGa | PBE-GGA | optimized geometry

```
DyMnGa
1.0
-2.354 6.810 0.173
-4.602 -5.463 -0.964
-0.498 -0.272 3.921
Ga Mn Dy
3 3 3
Direct
0.780 0.522 0.000
0.522 0.780 0.000
0.523 0.523 0.500
0.194 0.865 0.000
0.290 0.290 0.000
0.865 0.194 0.000
0.119 0.530 0.500
0.530 0.119 0.500
0.950 0.950 0.500
```

Values from the calculation:
Volume in Å³ per atom: 19.66
Uncorrected energy in eV per atom: -5.7711
Formation enthalpy at 0 K in meV/atom: -172

# 7
Mg16Al12In | PBE-GGA | optimized geometry

```
Mg16Al12In
1.0
-1.002 -9.077 0.596
-7.617 4.111 2.972
1.524 2.335 -8.716
Mg Al In
16 12 1
Direct
0.685 0.286 0.685
0.315 0.000 0.601
0.000 0.345 0.000
0.655 0.655 0.655
0.345 0.000 0.000
0.601 0.315 0.000
0.685 0.685 0.286
0.399 0.399 0.714
0.714 0.399 0.399
0.601 0.000 0.315
0.286 0.685 0.685
0.399 0.714 0.399
0.000 0.315 0.601
0.000 0.601 0.315
0.315 0.601 0.000
0.000 0.000 0.345
0.000 0.813 0.630
0.630 0.813 0.000
0.000 0.630 0.813
0.630 0.000 0.813
0.370 0.370 0.183
0.183 0.370 0.370
0.187 0.817 0.187
0.813 0.000 0.630
0.813 0.630 0.000
0.187 0.187 0.817
0.370 0.183 0.370
0.817 0.187 0.187
0.000 0.000 0.000
```

Values from the calculation:
Excess energy over the best structure of this formula in the dataset in eV/atom: 0.006
Volume in Å³ per atom: 20.34
Uncorrected energy in eV per atom: -2.5463
Formation enthalpy at 0 K in meV/atom: -19

# 8
TiAg | PBE-GGA | optimized geometry

```
TiAg
1.0
2.889 0.000 0.000
0.000 2.889 0.000
0.000 0.000 4.172
Ti Ag
1 1
Direct
0.500 0.500 0.500
0.000 0.000 0.000
```

Values from the calculation:
Volume in Å³ per atom: 17.41
Uncorrected energy in eV per atom: -5.2670
Formation enthalpy at 0 K in meV/atom: 97

Q: Look up the volume of the second one.
A: 23.03 Å³ per atom

Q: Which of these has the lowest formation enthalpy at 0 K?
A: Sr2Nb2Bi3BrO11